Record 1
U2Zn17 | PBE | optimized geometry

## Properties
Total DFT energy (no corrections) ... -2.3781 eV/atom
SG ... No. 194
Calculated formation energy ... -6.0 kJ/mol of atoms
Relative energy among the computed polymorphs ... 0.05 eV per formula unit

Cell lengths 8.993, 8.993, 8.805 Å; angles 90.00, 90.00, 120.00 degrees
Fractional positions:
U  0.000  0.000  0.250
U  0.000  0.000  0.750
U  0.333  0.667  0.250
U  0.667  0.333  0.750
Zn  0.000  0.500  0.000
Zn  0.000  0.500  0.500
Zn  0.037  0.367  0.750
Zn  0.037  0.671  0.750
Zn  0.162  0.323  0.023
Zn  0.162  0.323  0.477
Zn  0.162  0.838  0.023
Zn  0.162  0.838  0.477
Zn  0.323  0.162  0.523
Zn  0.323  0.162  0.977
Zn  0.329  0.367  0.750
Zn  0.329  0.963  0.750
Zn  0.333  0.667  0.600
Zn  0.333  0.667  0.900
Zn  0.367  0.037  0.250
Zn  0.367  0.329  0.250
Zn  0.500  0.000  0.000
Zn  0.500  0.000  0.500
Zn  0.500  0.500  0.000
Zn  0.500  0.500  0.500
Zn  0.633  0.671  0.750
Zn  0.633  0.963  0.750
Zn  0.667  0.333  0.100
Zn  0.667  0.333  0.400
Zn  0.671  0.037  0.250
Zn  0.671  0.633  0.250
Zn  0.677  0.838  0.023
Zn  0.677  0.838  0.477
Zn  0.838  0.162  0.523
Zn  0.838  0.162  0.977
Zn  0.838  0.677  0.523
Zn  0.838  0.677  0.977
Zn  0.963  0.329  0.250
Zn  0.963  0.633  0.250

=====

Record 2
Zr2U | PBE | optimized geometry

## Properties
Total DFT energy (no corrections) ... -9.2410 eV/atom
SG ... No. 38
Calculated formation energy ... 21.4 kJ/mol of atoms

Cell lengths 3.044, 5.093, 8.806 Å; angles 90.00, 90.00, 90.00 degrees
Fractional positions:
Zr  0.000  0.000  0.000
Zr  0.000  0.500  0.500
Zr  0.500  0.000  0.333
Zr  0.500  0.500  0.833
U  0.500  0.000  0.667
U  0.500  0.500  0.167

=====

Record 3
ZrU | PBE | optimized geometry

## Properties
Total DFT energy (no corrections) ... -9.6920 eV/atom
SG ... No. 65
Calculated formation energy ... 22.0 kJ/mol of atoms

Cell lengths 3.036, 5.232, 5.492 Å; angles 90.00, 90.00, 90.00 degrees
Fractional positions:
Zr  0.000  0.000  0.000
Zr  0.500  0.500  0.000
U  0.000  0.500  0.500
U  0.500  0.000  0.500

=====

Record 4
Zr2U | PBE | optimized geometry

## Properties
Total DFT energy (no corrections) ... -9.1628 eV/atom
SG ... No. 191
Calculated formation energy ... 28.9 kJ/mol of atoms

Cell lengths 5.260, 5.260, 2.992 Å; angles 90.00, 90.00, 120.00 degrees
Fractional positions:
Zr  0.333  0.667  0.000
Zr  0.667  0.333  0.000
U  0.000  0.000  0.500

=====

Record 5
VW3 | PBE | optimized geometry

## Properties
Total DFT energy (no corrections) ... -12.0761 eV/atom
SG ... No. 225
Calculated formation energy ... -8.4 kJ/mol of atoms

Cell lengths 6.284, 6.284, 6.284 Å; angles 90.00, 90.00, 90.00 degrees
Fractional positions:
V  0.000  0.000  0.000
V  0.000  0.500  0.500
V  0.500  0.000  0.500
V  0.500  0.500  0.000
W  0.000  0.000  0.500
W  0.000  0.500  0.000
W  0.250  0.250  0.250
W  0.250  0.250  0.750
W  0.250  0.750  0.250
W  0.250  0.750  0.750
W  0.500  0.000  0.000
W  0.500  0.500  0.500
W  0.750  0.250  0.250
W  0.750  0.250  0.750
W  0.750  0.750  0.250
W  0.750  0.750  0.750

=====

Record 6
Zr4V | PBE | optimized geometry

## Properties
Total DFT energy (no corrections) ... -7.8155 eV/atom
SG ... No. 227
Calculated formation energy ... 81.0 kJ/mol of atoms

Cell lengths 6.959, 6.959, 6.959 Å; angles 60.00, 60.00, 60.00 degrees
Fractional positions:
Zr  0.196  0.768  0.768
Zr  0.232  0.232  0.232
Zr  0.232  0.232  0.804
Zr  0.232  0.804  0.232
Zr  0.768  0.196  0.768
Zr  0.768  0.768  0.196
Zr  0.768  0.768  0.768
Zr  0.804  0.232  0.232
V  0.375  0.375  0.375
V  0.625  0.625  0.625